#w
Computed, not measured: an optimized crystal structure of Mg14MoW at the PBE-GGA level of DFT.

Calculated values
The crystal system is hexagonal.

a = 6.2103 Å, b = 6.2103 Å, c = 9.8618 Å
α = 90.00°, β = 90.00°, γ = 120.00°
Fractional positions:
Mg 0.1693 0.8347 0.1250
Mg 0.1692 0.8346 0.6250
Mg 0.6653 0.3307 0.1250
Mg 0.6654 0.3308 0.6250
Mg 0.6653 0.8347 0.1250
Mg 0.6654 0.8346 0.6250
Mg 0.3237 0.1763 0.3762
Mg 0.3237 0.1763 0.8738
Mg 0.3237 0.6474 0.3762
Mg 0.3237 0.6474 0.8738
Mg 0.8526 0.1763 0.3762
Mg 0.8526 0.1763 0.8738
Mg 0.8333 0.6667 0.3754
Mg 0.8333 0.6667 0.8746
Mo 0.1667 0.3333 0.1250
W 0.1667 0.3333 0.6250



#x
Computed, not measured: an optimized crystal structure of Mg14MoW at the PBE-GGA level of DFT.

Calculated values
The crystal system is orthorhombic.

a = 6.2563 Å, b = 6.0246 Å, c = 9.9730 Å
α = 90.00°, β = 90.00°, γ = 118.78°
Fractional positions:
Mg 0.1665 0.3332 0.6250
Mg 0.1663 0.8331 0.6250
Mg 0.6617 0.3311 0.1250
Mg 0.6630 0.3315 0.6250
Mg 0.6617 0.8307 0.1250
Mg 0.6630 0.8315 0.6250
Mg 0.3261 0.1628 0.3611
Mg 0.3261 0.1628 0.8889
Mg 0.3261 0.6633 0.3611
Mg 0.3261 0.6633 0.8889
Mg 0.8513 0.1757 0.3676
Mg 0.8513 0.1757 0.8824
Mg 0.8513 0.6757 0.3675
Mg 0.8513 0.6757 0.8825
Mo 0.1545 0.3272 0.1250
W 0.1537 0.8269 0.1250



Least stable: #w



#w
Computed, not measured: an optimized crystal structure of Mg2NbN3 at the PBE-GGA level of DFT.

Calculated values
The crystal system is monoclinic.

a = 5.3978 Å, b = 5.3978 Å, c = 5.3973 Å
α = 99.69°, β = 99.69°, γ = 119.92°
Fractional positions:
Mg 0.8369 0.1631 0.5000
Mg 0.1631 0.8369 0.5000
Mg 0.5000 0.5000 0.5000
Mg 0.0000 0.0000 0.0000
Nb 0.3319 0.6681 0.0000
Nb 0.6681 0.3319 0.0000
N 0.4248 0.0784 0.2349
N 0.9216 0.5752 0.7651
N 0.5752 0.9216 0.7651
N 0.0784 0.4248 0.2349
N 0.7338 0.7338 0.2400
N 0.2662 0.2662 0.7600



#x
Computed, not measured: an optimized crystal structure of Mg2NbN3 at the PBE-GGA level of DFT.

Calculated values
The crystal system is monoclinic.

a = 5.7043 Å, b = 5.7043 Å, c = 5.7503 Å
α = 66.94°, β = 66.94°, γ = 65.93°
Fractional positions:
Mg 0.7544 0.9158 0.0774
Mg 0.0842 0.2456 0.4226
Mg 0.2456 0.0842 0.9226
Mg 0.9158 0.7544 0.5774
Nb 0.4110 0.5890 0.7500
Nb 0.5890 0.4110 0.2500
N 0.0984 0.9016 0.7500
N 0.9016 0.0984 0.2500
N 0.7274 0.5872 0.4258
N 0.4128 0.2726 0.0742
N 0.2726 0.4128 0.5742
N 0.5872 0.7274 0.9258



Least stable: #w



#w
Computed, not measured: an optimized crystal structure of MgNb4N4O4 at the PBE-GGA level of DFT.

Calculated values
The crystal system is monoclinic.

a = 4.0571 Å, b = 6.4573 Å, c = 6.7477 Å
α = 75.99°, β = 90.00°, γ = 71.69°
Fractional positions:
Mg 0.5000 0.0000 0.0000
Nb 0.1061 0.7878 0.7103
Nb 0.2205 0.5591 0.2971
Nb 0.7795 0.4409 0.7029
Nb 0.8939 0.2122 0.2897
N 0.6228 0.7544 0.7778
N 0.2671 0.4659 0.6452
N 0.7329 0.5341 0.3548
N 0.3772 0.2456 0.2222
O 0.0635 0.8730 0.3902
O 0.1097 0.7805 0.0312
O 0.8903 0.2195 0.9688
O 0.9365 0.1270 0.6098



#x
Computed, not measured: an optimized crystal structure of MgNb4N4O4 at the PBE-GGA level of DFT.

Calculated values
The crystal system is triclinic.

a = 3.9461 Å, b = 7.2177 Å, c = 6.7039 Å
α = 70.15°, β = 90.30°, γ = 66.96°
Fractional positions:
Mg 0.4286 0.9185 0.9758
Nb 0.0564 0.7824 0.6997
Nb 0.1652 0.6179 0.3376
Nb 0.8662 0.3796 0.6713
Nb 0.9168 0.2175 0.2835
N 0.9537 0.9077 0.3775
N 0.3013 0.4772 0.6930
N 0.7121 0.5494 0.3164
N 0.0614 0.1087 0.6262
O 0.6232 0.7089 0.7718
O 0.0009 0.8196 0.9988
O 0.0499 0.1935 0.0114
O 0.3766 0.3173 0.2568



Least stable: #w



#w
Computed, not measured: an optimized crystal structure of MgNb4N4O4 at the PBE-GGA level of DFT.

Calculated values
The crystal system is triclinic.

a = 3.8993 Å, b = 7.2911 Å, c = 6.8499 Å
α = 71.70°, β = 90.01°, γ = 74.49°
Fractional positions:
Mg 0.3008 0.3992 0.9950
Nb 0.0973 0.8110 0.6700
Nb 0.1820 0.6369 0.3071
Nb 0.8146 0.3720 0.6735
Nb 0.9102 0.1809 0.3447
N 0.0507 0.8997 0.3320
N 0.2617 0.4778 0.6669
N 0.7419 0.5176 0.3549
N 0.9505 0.1006 0.6701
O 0.6199 0.7626 0.6820
O 0.1612 0.6790 0.0130
O 0.8427 0.3155 0.9932
O 0.3787 0.2436 0.2987



#x
Computed, not measured: an optimized crystal structure of MgNb4N4O4 at the PBE-GGA level of DFT.

Calculated values
The crystal system is monoclinic.

a = 4.2001 Å, b = 6.6739 Å, c = 6.8560 Å
α = 72.92°, β = 89.99°, γ = 71.62°
Fractional positions:
Mg 0.4489 0.1044 0.6346
Nb 0.1221 0.7590 0.7230
Nb 0.1971 0.6084 0.3194
Nb 0.7865 0.4288 0.6563
Nb 0.8889 0.2239 0.2663
N 0.0572 0.8883 0.3581
N 0.2822 0.4372 0.6553
N 0.7356 0.5315 0.3347
N 0.9488 0.1046 0.6523
O 0.6187 0.7654 0.7009
O 0.1611 0.6804 0.0071
O 0.8480 0.3061 0.9864
O 0.3840 0.2344 0.3178



Least stable: #x



#w
Computed, not measured: an optimized crystal structure of MgNb4N4O4 at the PBE-GGA level of DFT.

Calculated values
The crystal system is triclinic.

a = 5.5952 Å, b = 5.1454 Å, c = 5.3173 Å
α = 93.37°, β = 104.98°, γ = 82.03°
Fractional positions:
Mg 0.0000 0.0000 0.5000
Nb 0.3258 0.4565 0.7023
Nb 0.6629 0.9144 0.8123
Nb 0.6742 0.5435 0.2977
Nb 0.3371 0.0856 0.1877
N 0.4104 0.7498 0.9850
N 0.6038 0.2283 0.5203
N 0.5896 0.2502 0.0150
N 0.3962 0.7717 0.4797
O 0.0807 0.3069 0.3525
O 0.8814 0.7883 0.1587
O 0.9193 0.6931 0.6475
O 0.1186 0.2117 0.8413



#x
Computed, not measured: an optimized crystal structure of MgNb4N4O4 at the PBE-GGA level of DFT.

Calculated values
The crystal system is triclinic.

a = 4.1951 Å, b = 7.0828 Å, c = 6.7060 Å
α = 74.67°, β = 88.72°, γ = 69.29°
Fractional positions:
Mg 0.0000 0.5000 0.0000
Nb 0.1765 0.8036 0.7157
Nb 0.2154 0.5835 0.3448
Nb 0.7846 0.4165 0.6552
Nb 0.8235 0.1964 0.2843
N 0.6513 0.7191 0.7276
N 0.2624 0.4878 0.6804
N 0.7376 0.5122 0.3196
N 0.3487 0.2809 0.2724
O 0.0539 0.8791 0.3755
O 0.1360 0.7344 0.0140
O 0.8640 0.2656 0.9860
O 0.9461 0.1209 0.6245



Least stable: #x



#w
Computed, not measured: an optimized crystal structure of MgP3NO9 at the PBE-GGA level of DFT.

Calculated values
The crystal system is orthorhombic.

a = 7.3009 Å, b = 9.6090 Å, c = 12.1547 Å
α = 90.00°, β = 90.00°, γ = 90.00°
Fractional positions:
Mg 0.7500 0.9916 0.2859
Mg 0.7500 0.4916 0.2141
Mg 0.2500 0.0084 0.7141
Mg 0.2500 0.5084 0.7859
P 0.9551 0.2412 0.8464
P 0.5449 0.7412 0.6536
P 0.4551 0.7588 0.1536
P 0.0449 0.2588 0.3464
P 0.0449 0.7588 0.1536
P 0.4551 0.2588 0.3464
P 0.5449 0.2412 0.8464
P 0.9551 0.7412 0.6536
P 0.7500 0.2080 0.0499
P 0.7500 0.7080 0.4501
P 0.2500 0.7920 0.9501
P 0.2500 0.2920 0.5499
N 0.7500 0.6071 0.9148
N 0.7500 0.1071 0.5852
N 0.2500 0.3929 0.0852
N 0.2500 0.8929 0.4148
O 0.9209 0.1775 0.9672
O 0.5791 0.6775 0.5328
O 0.4209 0.8225 0.0328
O 0.0791 0.3225 0.4672
O 0.0791 0.8225 0.0328
O 0.4209 0.3225 0.4672
O 0.5791 0.1775 0.9672
O 0.9209 0.6775 0.5328
O 0.7500 0.2715 0.8026
O 0.7500 0.7715 0.6974
O 0.2500 0.7285 0.1974
O 0.2500 0.2285 0.3026
O 0.0544 0.3773 0.8533
O 0.4456 0.8773 0.6467
O 0.5544 0.6227 0.1467
O 0.9456 0.1227 0.3533
O 0.9456 0.6227 0.1467
O 0.5544 0.1227 0.3533
O 0.4456 0.3773 0.8533
O 0.0544 0.8773 0.6467
O 0.0408 0.1311 0.7764
O 0.4592 0.6311 0.7236
O 0.5408 0.8689 0.2236
O 0.9592 0.3689 0.2764
O 0.9592 0.8689 0.2236
O 0.5408 0.3689 0.2764
O 0.4592 0.1311 0.7764
O 0.0408 0.6311 0.7236
O 0.7500 0.3594 0.0792
O 0.7500 0.8594 0.4208
O 0.2500 0.6406 0.9208
O 0.2500 0.1406 0.5792
O 0.7500 0.0996 0.1368
O 0.7500 0.5996 0.3632
O 0.2500 0.9004 0.8632
O 0.2500 0.4004 0.6368



#x
Computed, not measured: an optimized crystal structure of MgP3NO9 at the PBE-GGA level of DFT.

Calculated values
The crystal system is hexagonal.

a = 6.6821 Å, b = 6.6821 Å, c = 9.9676 Å
α = 90.00°, β = 90.00°, γ = 120.00°
Fractional positions:
Mg 0.0000 0.0000 0.0000
Mg 0.0000 0.0000 0.5000
P 0.7253 0.1088 0.2500
P 0.8912 0.6165 0.2500
P 0.7253 0.6165 0.7500
P 0.3835 0.2747 0.2500
P 0.8912 0.2747 0.7500
P 0.3835 0.1088 0.7500
N 0.3333 0.6667 0.0000
N 0.3333 0.6667 0.5000
O 0.2558 0.2496 0.1221
O 0.7504 0.0062 0.1221
O 0.2558 0.2496 0.3779
O 0.2558 0.0062 0.6221
O 0.9938 0.7442 0.1221
O 0.7504 0.0062 0.3779
O 0.7504 0.7442 0.6221
O 0.2558 0.0062 0.8779
O 0.9938 0.7442 0.3779
O 0.7504 0.7442 0.8779
O 0.9938 0.2496 0.6221
O 0.9938 0.2496 0.8779
O 0.4782 0.0947 0.2500
O 0.9053 0.3834 0.2500
O 0.4782 0.3834 0.7500
O 0.6166 0.5218 0.2500
O 0.9053 0.5218 0.7500
O 0.6166 0.0947 0.7500



Least stable: #x